Entry 1:
VASP calculation (PBE with a Hubbard U) on VO2F after structural relaxation.

- E_form: -56.07 kcal/mol of atoms
- Space group: Cc, No. 9
- DFT total energy: -162.50 eV per cell

abc: 9.146 9.146 7.369
angles: 113.09 113.09 33.21
Sites, in units of the cell vectors:
V  0.004  0.996  0.500
V  0.289  0.376  0.829
V  0.376  0.289  0.329
V  0.619  0.715  0.659
V  0.715  0.619  0.159
V  0.996  0.004  0.000
O  0.019  0.476  0.752
O  0.090  0.931  0.726
O  0.115  0.714  0.919
O  0.284  0.403  0.556
O  0.312  0.895  0.531
O  0.403  0.284  0.056
O  0.476  0.019  0.252
O  0.589  0.754  0.887
O  0.714  0.115  0.419
O  0.754  0.589  0.387
O  0.895  0.312  0.031
O  0.931  0.090  0.226
F  0.232  0.651  0.364
F  0.370  0.787  0.088
F  0.551  0.989  0.697
F  0.651  0.232  0.864
F  0.787  0.370  0.588
F  0.989  0.551  0.197

Entry 2:
VASP calculation (PBE with a Hubbard U) on Sr3CoRuO6 after structural relaxation.

- E_form: -54.92 kcal/mol of atoms
- E above lowest polymorph: 0.0 meV/atom
- Space group: P1, No. 1
- DFT total energy: -143.16 eV per cell

abc: 6.680 6.699 6.875
angles: 91.71 91.88 93.17
Sites, in units of the cell vectors:
Sr  0.000  0.000  0.000
Sr  0.134  0.499  0.857
Sr  0.271  0.364  0.357
Sr  0.500  0.865  0.140
Sr  0.635  0.731  0.640
Sr  0.771  0.230  0.497
Co  0.119  0.881  0.505
Co  0.651  0.349  0.995
Ru  0.385  0.115  0.749
Ru  0.886  0.615  0.249
O  0.093  0.152  0.658
O  0.165  0.693  0.188
O  0.301  0.836  0.804
O  0.358  0.214  0.035
O  0.412  0.015  0.463
O  0.469  0.394  0.694
O  0.606  0.536  0.309
O  0.677  0.078  0.840
O  0.783  0.642  0.963
O  0.853  0.907  0.341
O  0.918  0.323  0.156
O  0.987  0.588  0.535

Entry 3:
VASP calculation (PBE with a Hubbard U) on Li3Fe2Si2O8 after structural relaxation.

- E_form: -57.29 kcal/mol of atoms
- E above lowest polymorph: 38.7 meV/atom
- Space group: Pc, No. 7
- DFT total energy: -200.71 eV per cell

abc: 5.233 6.588 10.617
angles: 90.00 90.59 90.00
Sites, in units of the cell vectors:
Li  0.000  0.000  0.000
Li  0.000  0.000  0.500
Li  0.399  0.248  0.424
Li  0.399  0.752  0.924
Li  0.875  0.248  0.742
Li  0.875  0.752  0.242
Fe  0.386  0.268  0.910
Fe  0.386  0.732  0.410
Fe  0.880  0.267  0.250
Fe  0.880  0.733  0.750
Si  0.381  0.008  0.176
Si  0.381  0.992  0.676
Si  0.884  0.497  0.993
Si  0.884  0.503  0.493
O  0.004  0.290  0.925
O  0.004  0.710  0.425
O  0.005  0.292  0.428
O  0.005  0.708  0.928
O  0.062  0.019  0.192
O  0.062  0.981  0.692
O  0.422  0.018  0.020
O  0.422  0.982  0.520
O  0.490  0.201  0.739
O  0.490  0.799  0.239
O  0.519  0.202  0.249
O  0.519  0.798  0.749
O  0.575  0.499  0.968
O  0.575  0.501  0.468
O  0.950  0.499  0.146
O  0.950  0.501  0.646

Entry 4:
VASP calculation (PBE with a Hubbard U) on Ba7Ca2Mn5O20 after structural relaxation.

- E_form: -60.05 kcal/mol of atoms
- Space group: R-3m, No. 166
- DFT total energy: -228.66 eV per cell

abc: 17.755 17.755 17.755
angles: 19.15 19.15 19.15
Sites, in units of the cell vectors:
Ba  0.000  0.000  0.000
Ba  0.146  0.146  0.146
Ba  0.227  0.227  0.227
Ba  0.388  0.388  0.388
Ba  0.612  0.612  0.612
Ba  0.773  0.773  0.773
Ba  0.854  0.854  0.854
Ca  0.075  0.075  0.075
Ca  0.925  0.925  0.925
Mn  0.303  0.303  0.303
Mn  0.451  0.451  0.451
Mn  0.500  0.500  0.500
Mn  0.549  0.549  0.549
Mn  0.697  0.697  0.697
O  0.133  0.133  0.608
O  0.133  0.608  0.133
O  0.183  0.623  0.623
O  0.262  0.723  0.723
O  0.277  0.277  0.738
O  0.277  0.738  0.277
O  0.335  0.335  0.335
O  0.377  0.377  0.817
O  0.377  0.817  0.377
O  0.392  0.867  0.867
O  0.608  0.133  0.133
O  0.623  0.183  0.623
O  0.623  0.623  0.183
O  0.665  0.665  0.665
O  0.723  0.262  0.723
O  0.723  0.723  0.262
O  0.738  0.277  0.277
O  0.817  0.377  0.377
O  0.867  0.392  0.867
O  0.867  0.867  0.392